Run A
VASP calculation (PBE) on Li3AlF6 after structural relaxation.

Lattice parameters (Å, degrees): 4.9474 8.3501 9.6713 90.00 90.00 90.00
Last column: nearest neighbours and their distance in Å.
Atoms (fractional coordinates):
Li 0.9922 0.1487 0.1253  5 F 1.91-2.14
Li 0.0048 0.4555 0.8944  3 F 1.90-2.03
Li 0.9922 0.3513 0.6253  5 F 1.91-2.14
Li 0.5048 0.5445 0.1056  3 F 1.90-2.03
Li 0.9971 0.0467 0.8544  5 F 1.94-2.10
Li 0.4971 0.9533 0.1456  5 F 1.94-2.10
Li 0.4922 0.8513 0.8747  5 F 1.91-2.14
Li 0.4922 0.6487 0.3747  5 F 1.91-2.14
Li 0.5048 0.9555 0.6056  3 F 1.90-2.03
Li 0.4971 0.5467 0.6456  5 F 1.94-2.10
Li 0.0048 0.0445 0.3944  3 F 1.90-2.03
Li 0.9971 0.4533 0.3544  5 F 1.94-2.10
Al 0.0001 0.7598 0.1278  6 F 1.81-1.86
Al 0.5001 0.2402 0.8722  6 F 1.81-1.86
Al 0.5001 0.2598 0.3722  6 F 1.81-1.86
Al 0.0001 0.7402 0.6278  6 F 1.81-1.86
F 0.3018 0.7336 0.7358  1 Al 1.82, 2 Li 1.91-2.03
F 0.3613 0.0670 0.7769  1 Al 1.85, 2 Li 1.96-2.03
F 0.6920 0.7432 0.5241  1 Al 1.82, 1 Li 1.92
F 0.6488 0.4020 0.9706  1 Al 1.81, 2 Li 1.90-1.96
F 0.1488 0.5980 0.0294  1 Al 1.81, 2 Li 1.90-1.96
F 0.8259 0.6188 0.2440  1 Al 1.84, 1 Li 1.94
F 0.6920 0.7568 0.0241  1 Al 1.82, 1 Li 1.92
F 0.6488 0.0980 0.4706  1 Al 1.81, 2 Li 1.90-1.96
F 0.1920 0.2568 0.4759  1 Al 1.82, 1 Li 1.92
F 0.3259 0.3812 0.7560  1 Al 1.84, 1 Li 1.94
F 0.1689 0.9087 0.0131  1 Al 1.86
F 0.1488 0.9020 0.5294  1 Al 1.81, 2 Li 1.90-1.96
F 0.1689 0.5913 0.5131  1 Al 1.86
F 0.3613 0.4330 0.2769  1 Al 1.85, 2 Li 1.96-2.03
F 0.3018 0.7664 0.2358  1 Al 1.82, 2 Li 1.91-2.03
F 0.8613 0.9330 0.2231  1 Al 1.85, 2 Li 1.96-2.03
F 0.6689 0.4087 0.4869  1 Al 1.86
F 0.3259 0.1188 0.2560  1 Al 1.84, 1 Li 1.94
F 0.8613 0.5670 0.7231  1 Al 1.85, 2 Li 1.96-2.03
F 0.1920 0.2432 0.9759  1 Al 1.82, 1 Li 1.92
F 0.8018 0.2664 0.2642  1 Al 1.82, 2 Li 1.91-2.03
F 0.6689 0.0913 0.9869  1 Al 1.86
F 0.8018 0.2336 0.7642  1 Al 1.82, 2 Li 1.91-2.03
F 0.8259 0.8812 0.7440  1 Al 1.84, 1 Li 1.94

piezoelectric modulus e_max	0.2	C/m2

Run B
VASP calculation (PBE) on Li3AlF6 after structural relaxation.

Lattice parameters (Å, degrees): 5.3188 5.3188 5.3188 60.00 60.00 60.00
Last column: nearest neighbours and their distance in Å.
Atoms (fractional coordinates):
Li 0.2500 0.2500 0.2500  12 F 2.66
Li 0.7500 0.7500 0.7500  12 F 2.66
Li 0.5000 0.5000 0.5000  6 F 1.95
Al 0.0000 0.0000 0.0000  6 F 1.81
F 0.2402 0.2402 0.7598  1 Al 1.81, 1 Li 1.95
F 0.2402 0.7598 0.7598  1 Al 1.81, 1 Li 1.95
F 0.7598 0.7598 0.2402  1 Al 1.81, 1 Li 1.95
F 0.2402 0.7598 0.2402  1 Al 1.81, 1 Li 1.95
F 0.7598 0.2402 0.7598  1 Al 1.81, 1 Li 1.95
F 0.7598 0.2402 0.2402  1 Al 1.81, 1 Li 1.95

It turns out run A is the most stable, with the second structure 160 meV per atom higher.